No. 1
{
  "formula": "LiHfMg14O15",
  "functional": "PBE",
  "state": "relaxed",
  "magmom_total_mub_per_cell": 0.2,
  "sg": "Pmm2, No. 25",
  "de_polymorph_mev_per_atom": 16,
  "lattice_angstrom": [[8.6120, 0.0000, 0.0000], [0.0000, 8.6197, 0.0000], [0.0000, 0.0000, 4.2787]],
  "species": ["O", "O", "O", "O", "O", "O", "O", "O", "O", "O", "O", "O", "O", "O", "O", "Mg", "Mg", "Mg", "Mg", "Mg", "Mg", "Mg", "Mg", "Mg", "Mg", "Mg", "Mg", "Mg", "Mg", "Li", "Hf"],
  "fractional_positions": [[0.7517, 0.7488, 0.5000], [0.2489, 0.2535, 0.5000], [0.9992, 0.2564, 0.0000], [0.7457, 0.5000, 0.0000], [0.9999, 0.0000, 0.5000], [0.7517, 0.2512, 0.5000], [0.5028, 0.0000, 0.5000], [0.5017, 0.2530, 0.0000], [0.2549, 0.5000, 0.0000], [0.9997, 0.5000, 0.5000], [0.5017, 0.7470, 0.0000], [0.2489, 0.7465, 0.5000], [0.7434, 0.0000, 0.0000], [0.5004, 0.5000, 0.5000], [0.9992, 0.7436, 0.0000], [0.5008, 0.5000, 0.0000], [0.2541, 0.2425, 0.0000], [0.5002, 0.2473, 0.5000], [0.0007, 0.7665, 0.5000], [0.7433, 0.5000, 0.5000], [0.5009, 0.0000, 0.0000], [0.7473, 0.7592, 0.0000], [0.2571, 0.5000, 0.5000], [0.7547, 0.0000, 0.5000], [0.2541, 0.7575, 0.0000], [0.2463, 0.0000, 0.5000], [0.5002, 0.7527, 0.5000], [0.7473, 0.2408, 0.0000], [0.0007, 0.2335, 0.5000], [0.9924, 0.0000, 0.0000], [0.9999, 0.5000, 0.0000]]
}

No. 2
{
  "formula": "SnCl2",
  "functional": "PBE",
  "state": "relaxed",
  "sg": "P2_1/c, No. 14",
  "final_energy_ev_per_atom": -3.561,
  "lattice_angstrom": [[-2.1987, 0.3358, 3.7301], [-8.1554, -3.5509, -4.4875], [4.4064, -15.1986, 3.9654]],
  "species": ["Cl", "Cl", "Cl", "Cl", "Cl", "Cl", "Cl", "Cl", "Cl", "Cl", "Cl", "Cl", "Cl", "Cl", "Cl", "Cl", "Sn", "Sn", "Sn", "Sn", "Sn", "Sn", "Sn", "Sn"],
  "fractional_positions": [[0.2485, 0.0811, 0.9264], [0.2439, 0.4187, 0.6766], [0.7503, 0.1437, 0.2572], [0.2503, 0.8563, 0.2428], [0.7439, 0.5813, 0.8234], [0.7497, 0.1437, 0.7572], [0.7561, 0.5813, 0.3234], [0.7515, 0.9189, 0.0736], [0.2545, 0.6438, 0.4925], [0.2497, 0.8563, 0.7428], [0.7545, 0.3562, 0.0075], [0.7485, 0.9189, 0.5736], [0.2455, 0.6438, 0.9925], [0.7455, 0.3562, 0.5075], [0.2561, 0.4187, 0.1766], [0.2515, 0.0811, 0.4264], [0.2720, 0.4435, 0.3875], [0.7389, 0.9435, 0.8624], [0.2611, 0.0565, 0.1376], [0.2280, 0.4435, 0.8875], [0.7280, 0.5565, 0.6125], [0.7611, 0.9435, 0.3624], [0.7720, 0.5565, 0.1125], [0.2389, 0.0565, 0.6376]]
}